! MgMn4H2O8, optimized geometry, DFT PBE with a Hubbard U; values from VASP
&SYSTEM
  ibrav = 0, nat = 15, ntyp = 4
/
ATOMIC_SPECIES
O 16.00 O.upf
Mn 54.94 Mn.upf
H 1.01 H.upf
Mg 24.30 Mg.upf
CELL_PARAMETERS angstrom
9.8942 -0.1339 0.0129
-0.0392 3.0304 0.0284
0.0076 0.0463 5.1825
ATOMIC_POSITIONS crystal
O 0.7305 0.8010 0.6537
O 0.7448 0.3257 0.0888
O 0.0244 0.7241 0.1696
O 0.9846 0.2171 0.7496
O 0.5365 0.7998 0.3396
O 0.2329 0.7562 0.8693
O 0.4746 0.3087 0.8227
O 0.2671 0.2433 0.3392
Mn 0.1413 0.2409 0.0391
Mn 0.3444 0.7508 0.5354
Mn 0.8736 0.7468 0.9233
Mn 0.6547 0.3046 0.4567
H 0.4001 0.2922 0.9497
H 0.0054 0.1746 0.5667
Mg 0.5974 0.8142 0.9688
! - calculated formation energy (meV per atom) = -1903
! - calculated density (kg/m³) = 3998
! - SG = P1, No. 1
! - energy relative to the lowest polymorph listed for this composition (meV per atom) = 0.1
! - MP2020-corrected energy (eV per cell) = -113.166


! LiMnP4O12, optimized geometry, DFT PBE with a Hubbard U; values from VASP
&SYSTEM
  ibrav = 0, nat = 36, ntyp = 4
/
ATOMIC_SPECIES
O 16.00 O.upf
P 30.97 P.upf
Mn 54.94 Mn.upf
Li 6.94 Li.upf
CELL_PARAMETERS angstrom
-4.3443 -4.0313 -12.4557
4.9408 0.3235 -1.8280
2.2931 -6.7314 1.3788
ATOMIC_POSITIONS crystal
O 0.2138 0.6170 0.2325
O 0.2477 0.3817 0.7623
O 0.8163 0.7704 0.5587
O 0.2642 0.0409 0.0528
O 0.9006 0.6528 0.0277
O 0.3163 0.2296 0.4413
O 0.8646 0.9950 0.2287
O 0.4006 0.3472 0.9723
O 0.1174 0.8106 0.9384
O 0.1071 0.0175 0.2259
O 0.6174 0.1894 0.0616
O 0.3646 0.0050 0.7713
O 0.1604 0.7903 0.5506
O 0.6071 0.9825 0.7741
O 0.7138 0.3830 0.7675
O 0.8673 0.2478 0.4977
O 0.7477 0.6183 0.2377
O 0.3673 0.7522 0.5023
O 0.1022 0.2616 0.4995
O 0.6604 0.2097 0.4494
O 0.6022 0.7383 0.5005
O 0.4876 0.1184 0.5094
O 0.9876 0.8816 0.4906
O 0.7642 0.9591 0.9472
P 0.8777 0.9860 0.4504
P 0.0951 0.0012 0.4490
P 0.1733 0.8523 0.1046
P 0.6733 0.1477 0.8954
P 0.3777 0.0140 0.5496
P 0.8211 0.7816 0.1132
P 0.3211 0.2184 0.8868
P 0.5951 0.9988 0.5510
Mn 0.2358 0.5066 0.4967
Mn 0.7358 0.4934 0.5033
Li 0.0069 0.6455 0.8725
Li 0.5069 0.3545 0.1275
! - calculated formation energy (meV per atom) = -2541
! - calculated density (kg/m³) = 2416
! - largest piezoelectric modulus (C/m2) = 2.60
! - SG = P2_1, No. 4
! - energy relative to the lowest polymorph listed for this composition (meV per atom) = 34.4
! - MP2020-corrected energy (eV per cell) = -275.679


! LiFeSi3O8, optimized geometry, DFT PBE with a Hubbard U; values from VASP
&SYSTEM
  ibrav = 0, nat = 26, ntyp = 4
/
ATOMIC_SPECIES
O 16.00 O.upf
Fe 55.84 Fe.upf
Si 28.09 Si.upf
Li 6.94 Li.upf
CELL_PARAMETERS angstrom
-5.5726 2.9165 -4.5877
4.0503 -6.0004 -2.8630
-4.9073 -5.3776 -0.4225
ATOMIC_POSITIONS crystal
O 0.6929 0.9524 0.7915
O 0.6982 0.9069 0.3766
O 0.3076 0.0481 0.5876
O 0.0931 0.3018 0.6234
O 0.9519 0.6924 0.4124
O 0.1400 0.8600 0.0000
O 0.5779 0.5447 0.7236
O 0.4553 0.4221 0.2764
O 0.0476 0.3071 0.2085
O 0.3174 0.7245 0.2324
O 0.9323 0.6925 0.7863
O 0.8668 0.1332 0.0000
O 0.7549 0.3292 0.7360
O 0.3075 0.0677 0.2137
O 0.6708 0.2451 0.2640
O 0.2755 0.6826 0.7676
Fe 0.5647 0.7885 0.6631
Fe 0.2115 0.4353 0.3369
Si 0.1806 0.8328 0.2148
Si 0.1672 0.8194 0.7852
Si 0.8060 0.5679 0.6622
Si 0.8491 0.1817 0.7773
Si 0.4321 0.1940 0.3378
Si 0.8183 0.1509 0.2227
Li 0.2467 0.3658 0.8373
Li 0.6342 0.7533 0.1627
! - calculated formation energy (meV per atom) = -2815
! - calculated density (kg/m³) = 2590
! - largest piezoelectric modulus (C/m2) = 1.02
! - SG = C2, No. 5
! - energy relative to the lowest polymorph listed for this composition (meV per atom) = 31.0
! - MP2020-corrected energy (eV per cell) = -205.676


! MnFeSiO4, optimized geometry, DFT PBE with a Hubbard U; values from VASP
&SYSTEM
  ibrav = 0, nat = 28, ntyp = 4
/
ATOMIC_SPECIES
O 16.00 O.upf
Fe 55.84 Fe.upf
Mn 54.94 Mn.upf
Si 28.09 Si.upf
CELL_PARAMETERS angstrom
4.9329 0.0000 0.0000
0.0000 6.2783 0.0000
0.0000 0.0000 10.5858
ATOMIC_POSITIONS crystal
O 0.7122 0.9605 0.1665
O 0.7878 0.5395 0.6665
O 0.2878 0.0395 0.8335
O 0.7943 0.7500 0.4536
O 0.2606 0.7500 0.5958
O 0.7394 0.2500 0.4042
O 0.2057 0.2500 0.5464
O 0.7878 0.9605 0.6665
O 0.2394 0.7500 0.0958
O 0.2943 0.2500 0.0464
O 0.7122 0.5395 0.1665
O 0.7057 0.7500 0.9536
O 0.2122 0.0395 0.3335
O 0.2122 0.4605 0.3335
O 0.7606 0.2500 0.9042
O 0.2878 0.4605 0.8335
Fe 0.9823 0.2500 0.7199
Fe 0.5177 0.2500 0.2199
Fe 0.0177 0.7500 0.2801
Fe 0.4823 0.7500 0.7801
Mn 0.5000 0.0000 0.5000
Mn 0.0000 0.5000 0.0000
Mn 0.0000 0.0000 0.0000
Mn 0.5000 0.5000 0.5000
Si 0.0706 0.2500 0.4015
Si 0.4294 0.2500 0.9015
Si 0.9294 0.7500 0.5985
Si 0.5706 0.7500 0.0985
! - calculated formation energy (meV per atom) = -2434
! - calculated density (kg/m³) = 4110
! - SG = Pnma, No. 62
! - MP2020-corrected energy (eV per cell) = -239.557


! Ca7MgCo7CuO20, optimized geometry, DFT PBE with a Hubbard U; values from VASP
&SYSTEM
  ibrav = 0, nat = 144, ntyp = 5
/
ATOMIC_SPECIES
O 16.00 O.upf
Co 58.93 Co.upf
Ca 40.08 Ca.upf
Cu 63.55 Cu.upf
Mg 24.30 Mg.upf
CELL_PARAMETERS angstrom
4.2711 0.4151 9.7542
-0.7806 10.9931 -0.1936
-15.2785 -6.5600 1.0490
ATOMIC_POSITIONS crystal
O 0.8397 0.7884 0.6456
O 0.3348 0.2875 0.6337
O 0.9454 0.8972 0.3530
O 0.8816 0.8816 0.5104
O 0.3817 0.3748 0.5046
O 0.6288 0.8837 0.5088
O 0.6235 0.6222 0.9852
O 0.1819 0.4374 0.7504
O 0.8957 0.3874 0.0168
O 0.8420 0.7836 0.1367
O 0.8708 0.6157 0.4844
O 0.6784 0.9317 0.7515
O 0.7032 0.2175 0.8603
O 0.1241 0.1185 0.4848
O 0.3427 0.2644 0.1431
O 0.3912 0.8976 0.0236
O 0.1949 0.7148 0.8753
O 0.5760 0.5934 0.6350
O 0.1542 0.3868 0.0297
O 0.1872 0.1992 0.3527
O 0.3709 0.1260 0.9853
O 0.0888 0.6232 0.1441
O 0.6199 0.1186 0.9877
O 0.6842 0.2097 0.3604
O 0.3768 0.1115 0.4863
O 0.6812 0.7106 0.3538
O 0.4469 0.8966 0.8668
O 0.6209 0.6235 0.4877
O 0.1343 0.8763 0.5108
O 0.6575 0.8949 0.0283
O 0.1343 0.3790 0.5096
O 0.1767 0.4344 0.2480
O 0.1312 0.6155 0.9933
O 0.3846 0.8819 0.5148
O 0.1198 0.6178 0.4804
O 0.4357 0.0662 0.7505
O 0.5951 0.1078 0.6406
O 0.9432 0.3971 0.3604
O 0.9599 0.3970 0.8611
O 0.3437 0.7674 0.1353
O 0.0831 0.5931 0.6339
O 0.8386 0.2910 0.6369
O 0.8746 0.6204 0.9878
O 0.3913 0.4043 0.0279
O 0.5978 0.6016 0.1368
O 0.1986 0.2172 0.8621
O 0.3763 0.6199 0.9879
O 0.9129 0.0688 0.2352
O 0.7029 0.7211 0.8750
O 0.4104 0.5620 0.2318
O 0.0878 0.1038 0.6427
O 0.1665 0.9289 0.7526
O 0.6757 0.4333 0.2491
O 0.6915 0.4358 0.7521
O 0.8842 0.3808 0.5112
O 0.6209 0.1184 0.4811
O 0.3240 0.7844 0.6301
O 0.1179 0.1148 0.9851
O 0.4309 0.8951 0.3507
O 0.1574 0.9161 0.2334
O 0.9431 0.9008 0.8704
O 0.6367 0.3781 0.5123
O 0.3675 0.6168 0.4814
O 0.1034 0.1024 0.1369
O 0.9081 0.8874 0.0349
O 0.1527 0.8920 0.0274
O 0.6108 0.1098 0.1456
O 0.4462 0.4013 0.3564
O 0.8711 0.1181 0.4832
O 0.9230 0.5737 0.7534
O 0.9256 0.0676 0.7517
O 0.9272 0.5625 0.2473
O 0.4451 0.4081 0.8715
O 0.6750 0.9322 0.2478
O 0.4120 0.0591 0.2340
O 0.6375 0.3784 0.0145
O 0.1948 0.7133 0.3619
O 0.8714 0.1134 0.9898
O 0.4341 0.5682 0.7502
O 0.8384 0.2726 0.1427
Co 0.0050 0.5003 0.5002
Co 0.0987 0.0838 0.2405
Co 0.2587 0.7525 0.0051
Co 0.8614 0.9051 0.7549
Co 0.2589 0.2521 0.0050
Co 0.8652 0.4086 0.7512
Co 0.8566 0.4011 0.2487
Co 0.0045 0.9997 0.4988
Co 0.1091 0.5966 0.2494
Co 0.0084 0.9993 0.0056
Co 0.7567 0.2490 0.0009
Co 0.2559 0.2479 0.5000
Co 0.0109 0.5044 0.0052
Co 0.7551 0.2496 0.4984
Co 0.2528 0.7488 0.4985
Co 0.3562 0.4016 0.2441
Co 0.6135 0.0947 0.7503
Co 0.6018 0.0922 0.2466
Co 0.5053 0.9968 0.9997
Co 0.7615 0.7560 0.0037
Co 0.7535 0.7510 0.5001
Co 0.1086 0.0926 0.7523
Co 0.3448 0.8960 0.2379
Co 0.5059 0.0018 0.5014
Co 0.5996 0.5906 0.2430
Co 0.8545 0.9082 0.2440
Co 0.5091 0.5033 0.0035
Co 0.5037 0.4999 0.4990
Ca 0.1938 0.9337 0.3869
Ca 0.6962 0.4357 0.3917
Ca 0.6949 0.9370 0.8943
Ca 0.3058 0.5618 0.6082
Ca 0.9510 0.7069 0.8982
Ca 0.9474 0.2033 0.3884
Ca 0.9439 0.7066 0.3894
Ca 0.2002 0.9366 0.8964
Ca 0.5565 0.3031 0.6112
Ca 0.1948 0.4311 0.3897
Ca 0.4430 0.7032 0.3853
Ca 0.4472 0.2039 0.3865
Ca 0.3021 0.0624 0.6096
Ca 0.5495 0.7902 0.6087
Ca 0.5547 0.2909 0.1088
Ca 0.0511 0.2892 0.1099
Ca 0.8047 0.5654 0.1069
Ca 0.0567 0.7905 0.6081
Ca 0.0590 0.2965 0.6083
Ca 0.9445 0.2066 0.8916
Ca 0.6952 0.9351 0.3893
Ca 0.6925 0.4418 0.8900
Ca 0.8079 0.0684 0.6087
Ca 0.2049 0.4387 0.8918
Ca 0.8052 0.5638 0.6085
Ca 0.4455 0.2070 0.8889
Ca 0.5571 0.7914 0.1066
Ca 0.4473 0.6980 0.8891
Cu 0.1054 0.5993 0.7528
Cu 0.6147 0.6075 0.7551
Cu 0.3589 0.4072 0.7506
Cu 0.3560 0.9008 0.7500
Mg 0.0287 0.7879 0.1141
Mg 0.2854 0.0689 0.1136
Mg 0.2978 0.5673 0.1055
Mg 0.7859 0.0734 0.1125
! - calculated formation energy (meV per atom) = -2091
! - calculated density (kg/m³) = 4218
! - SG = P1, No. 1
! - MP2020-corrected energy (eV per cell) = -974.865


! Mn3Co3Te2O16, optimized geometry, DFT PBE with a Hubbard U; values from VASP
&SYSTEM
  ibrav = 0, nat = 24, ntyp = 4
/
ATOMIC_SPECIES
Te 127.60 Te.upf
O 16.00 O.upf
Co 58.93 Co.upf
Mn 54.94 Mn.upf
CELL_PARAMETERS angstrom
-0.6361 -5.6736 -0.0455
2.4912 -3.0881 -4.1054
7.6463 -0.9130 5.3086
ATOMIC_POSITIONS crystal
Te 0.3338 0.3338 0.4891
Te 0.6709 0.6709 0.9985
O 0.8465 0.8465 0.1007
O 0.6622 0.6622 0.6093
O 0.9991 0.9991 0.3130
O 0.9706 0.5123 0.8295
O 0.3174 0.8410 0.1023
O 0.1592 0.6770 0.5982
O 0.0302 0.4863 0.3358
O 0.9985 0.9985 0.8114
O 0.1630 0.1630 0.5974
O 0.8410 0.3174 0.1023
O 0.6770 0.1592 0.5982
O 0.4832 0.4832 0.3291
O 0.4863 0.0302 0.3358
O 0.5123 0.9706 0.8295
O 0.5141 0.5141 0.8332
O 0.3314 0.3314 0.1111
Co 0.1681 0.6601 0.2163
Co 0.6601 0.1681 0.2163
Co 0.8273 0.8273 0.7125
Mn 0.8290 0.3376 0.7168
Mn 0.1661 0.1661 0.2144
Mn 0.3376 0.8290 0.7168
! - calculated formation energy (meV per atom) = -1454
! - calculated density (kg/m³) = 5344
! - SG = Cm, No. 8
! - MP2020-corrected energy (eV per cell) = -169.168